## one
{"formula": "Li2Fe2C3O9", "functional": "PBE with a Hubbard U", "state": "optimized geometry", "lattice_angstrom": [[-0.003, 0.000, 7.094], [-5.047, -4.905, 3.549], [5.047, -4.905, -3.549]], "species": ["O", "O", "O", "O", "O", "O", "O", "O", "O", "O", "O", "O", "O", "O", "O", "O", "O", "O", "Fe", "Fe", "Fe", "Fe", "C", "C", "C", "C", "C", "C", "Li", "Li", "Li", "Li"], "frac_coords": [[0.583, 0.867, 0.356], [0.814, 0.243, 0.757], [0.584, 0.644, 0.133], [0.299, 0.758, 0.242], [0.589, 0.317, 0.316], [0.083, 0.810, 0.810], [0.120, 0.471, 0.251], [0.589, 0.684, 0.683], [0.619, 0.252, 0.032], [0.839, 0.748, 0.968], [0.094, 0.356, 0.867], [0.083, 0.190, 0.190], [0.619, 0.968, 0.748], [0.120, 0.749, 0.529], [0.839, 0.032, 0.252], [0.340, 0.251, 0.471], [0.340, 0.529, 0.749], [0.094, 0.133, 0.644], [0.430, 0.500, 0.500], [0.926, 0.999, 0.001], [0.343, 0.251, 0.749], [0.846, 0.749, 0.251], [0.677, 0.796, 0.795], [0.677, 0.205, 0.204], [0.176, 0.700, 0.700], [0.996, 0.244, 0.756], [0.176, 0.300, 0.300], [0.484, 0.756, 0.244], [0.669, 0.451, 0.951], [0.669, 0.049, 0.549], [0.168, 0.549, 0.049], [0.168, 0.951, 0.451]]}


## two
{"formula": "Li2Fe2C3O9", "functional": "PBE with a Hubbard U", "state": "optimized geometry", "lattice_angstrom": [[5.651, -0.245, 2.318], [-0.903, 5.521, -2.463], [-3.391, 3.285, 8.611]], "species": ["O", "O", "O", "O", "O", "O", "O", "O", "O", "O", "O", "O", "O", "O", "O", "O", "O", "O", "C", "C", "C", "C", "C", "C", "Fe", "Fe", "Fe", "Fe", "Li", "Li", "Li", "Li"], "frac_coords": [[0.446, 0.218, 0.750], [0.218, 0.446, 0.250], [0.874, 0.246, 0.000], [0.840, 0.550, 0.885], [0.060, 0.060, 0.750], [0.060, 0.060, 0.250], [0.218, 0.446, 0.750], [0.550, 0.840, 0.385], [0.840, 0.549, 0.115], [0.840, 0.550, 0.615], [0.840, 0.550, 0.385], [0.246, 0.874, 0.500], [0.550, 0.840, 0.885], [0.874, 0.246, 0.500], [0.550, 0.840, 0.115], [0.246, 0.874, 0.000], [0.446, 0.218, 0.250], [0.550, 0.840, 0.615], [0.448, 0.852, 0.500], [0.852, 0.448, 0.500], [0.248, 0.248, 0.750], [0.448, 0.852, 0.000], [0.248, 0.248, 0.250], [0.852, 0.448, 0.000], [0.827, 0.264, 0.250], [0.827, 0.265, 0.750], [0.265, 0.827, 0.750], [0.265, 0.827, 0.250], [0.620, 0.620, 0.250], [0.895, 0.895, 0.500], [0.895, 0.895, 0.000], [0.620, 0.620, 0.750]], "piezo_max_c_m2": 1.42}


What should be chosen as the least stable of them? Choose one.


## one
{"formula": "Li2Fe2C3O9", "functional": "PBE with a Hubbard U", "state": "optimized geometry", "lattice_angstrom": [[-0.001, 4.901, 3.538], [-0.001, -4.901, 3.538], [10.089, 0.000, -0.003]], "species": ["O", "O", "O", "O", "O", "O", "O", "O", "O", "O", "O", "O", "O", "O", "O", "O", "O", "O", "C", "C", "C", "C", "C", "C", "Li", "Li", "Li", "Li", "Fe", "Fe", "Fe", "Fe"], "frac_coords": [[0.593, 0.872, 0.610], [0.581, 0.865, 0.110], [0.593, 0.872, 0.390], [0.865, 0.581, 0.890], [0.228, 0.451, 0.750], [0.451, 0.228, 0.250], [0.277, 0.902, 0.500], [0.057, 0.057, 0.749], [0.872, 0.593, 0.390], [0.872, 0.593, 0.610], [0.897, 0.266, 0.000], [0.902, 0.277, 0.500], [0.865, 0.581, 0.110], [0.581, 0.865, 0.890], [0.266, 0.897, 0.000], [0.228, 0.451, 0.250], [0.057, 0.057, 0.251], [0.451, 0.228, 0.750], [0.241, 0.241, 0.750], [0.875, 0.466, 0.000], [0.881, 0.478, 0.500], [0.241, 0.241, 0.250], [0.466, 0.875, 0.000], [0.478, 0.881, 0.500], [0.722, 0.124, 0.754], [0.124, 0.722, 0.754], [0.722, 0.124, 0.246], [0.124, 0.722, 0.246], [0.596, 0.596, 0.745], [0.597, 0.597, 0.255], [0.918, 0.918, 0.000], [0.934, 0.934, 0.501]]}


## two
{"formula": "Li2Fe2C3O9", "functional": "PBE with a Hubbard U", "state": "optimized geometry", "lattice_angstrom": [[7.501, 0.000, 0.000], [-2.295, 7.156, 0.000], [-2.362, -3.211, 6.434]], "species": ["O", "O", "O", "O", "O", "O", "O", "O", "O", "O", "O", "O", "O", "O", "O", "O", "O", "O", "Li", "Li", "Li", "Li", "C", "C", "C", "C", "C", "C", "Fe", "Fe", "Fe", "Fe"], "frac_coords": [[0.714, 0.674, 0.922], [0.043, 0.627, 0.306], [0.671, 0.923, 0.710], [0.941, 0.962, 0.222], [0.091, 0.602, 0.892], [0.567, 0.331, 0.318], [0.964, 0.220, 0.941], [0.304, 0.041, 0.628], [0.600, 0.888, 0.087], [0.313, 0.306, 0.548], [0.257, 0.645, 0.605], [0.629, 0.302, 0.041], [0.921, 0.708, 0.672], [0.645, 0.603, 0.244], [0.601, 0.258, 0.644], [0.318, 0.560, 0.327], [0.888, 0.090, 0.601], [0.218, 0.943, 0.963], [0.387, 0.657, 0.126], [0.152, 0.156, 0.158], [0.124, 0.386, 0.659], [0.659, 0.127, 0.386], [0.075, 0.754, 0.842], [0.406, 0.201, 0.607], [0.613, 0.412, 0.202], [0.840, 0.076, 0.753], [0.206, 0.611, 0.413], [0.754, 0.841, 0.076], [0.577, 0.573, 0.583], [0.462, 0.968, 0.855], [0.856, 0.464, 0.970], [0.964, 0.853, 0.463]]}


What should be chosen as the least stable of them? Choose one.


## one
{"formula": "LiFePCO7", "functional": "PBE with a Hubbard U", "state": "optimized geometry", "lattice_angstrom": [[-1.786, 3.873, 2.838], [-5.893, -2.265, -0.153], [0.840, -4.652, 7.295]], "species": ["Fe", "Fe", "Li", "Li", "O", "O", "O", "O", "O", "O", "O", "O", "O", "O", "O", "O", "O", "O", "P", "P", "C", "C"], "frac_coords": [[0.892, 0.850, 0.617], [0.305, 0.371, 0.324], [0.817, 0.601, 0.182], [0.296, 0.117, 0.729], [0.405, 0.673, 0.294], [0.169, 0.424, 0.096], [0.815, 0.551, 0.647], [0.318, 0.070, 0.291], [0.023, 0.847, 0.839], [0.706, 0.895, 0.429], [0.508, 0.319, 0.514], [0.936, 0.169, 0.628], [0.940, 0.422, 0.385], [0.253, 0.837, 0.542], [0.603, 0.898, 0.806], [0.371, 0.328, 0.881], [0.766, 0.871, 0.047], [0.597, 0.392, 0.087], [0.414, 0.870, 0.389], [0.799, 0.366, 0.545], [0.380, 0.382, 0.017], [0.792, 0.874, 0.903]]}


## two
{"formula": "LiFePCO7", "functional": "PBE with a Hubbard U", "state": "optimized geometry", "lattice_angstrom": [[8.241, 0.000, 0.000], [-1.739, 8.098, 0.000], [-0.540, -0.742, 8.440]], "species": ["O", "O", "O", "O", "O", "O", "O", "O", "O", "O", "O", "O", "O", "O", "O", "O", "O", "O", "O", "O", "O", "O", "O", "O", "O", "O", "O", "O", "Fe", "Fe", "Fe", "Fe", "Li", "Li", "Li", "Li", "P", "P", "P", "P", "C", "C", "C", "C"], "frac_coords": [[0.306, 0.864, 0.314], [0.186, 0.619, 0.690], [0.902, 0.155, 0.072], [0.194, 0.935, 0.580], [0.635, 0.576, 0.310], [0.119, 0.061, 0.327], [0.589, 0.847, 0.521], [0.935, 0.687, 0.082], [0.793, 0.076, 0.423], [0.595, 0.872, 0.181], [0.476, 0.190, 0.100], [0.363, 0.420, 0.689], [0.909, 0.646, 0.479], [0.319, 0.555, 0.430], [0.675, 0.432, 0.566], [0.577, 0.827, 0.919], [0.606, 0.355, 0.927], [0.067, 0.321, 0.917], [0.399, 0.148, 0.842], [0.088, 0.348, 0.522], [0.110, 0.352, 0.178], [0.413, 0.141, 0.466], [0.872, 0.937, 0.676], [0.805, 0.371, 0.307], [0.414, 0.654, 0.069], [0.679, 0.119, 0.693], [0.088, 0.843, 0.911], [0.886, 0.641, 0.819], [0.027, 0.775, 0.663], [0.521, 0.271, 0.663], [0.978, 0.222, 0.336], [0.469, 0.720, 0.335], [0.264, 0.513, 0.891], [0.771, 0.013, 0.884], [0.590, 0.129, 0.288], [0.743, 0.502, 0.111], [0.241, 0.488, 0.578], [0.254, 0.998, 0.423], [0.755, 0.506, 0.422], [0.736, 0.994, 0.575], [0.494, 0.231, 0.961], [0.526, 0.784, 0.049], [0.970, 0.724, 0.946], [0.026, 0.275, 0.049]]}


## three
{"formula": "LiFePCO7", "functional": "PBE with a Hubbard U", "state": "optimized geometry", "lattice_angstrom": [[-3.792, 1.995, 2.851], [2.542, -2.051, 5.411], [4.436, 7.570, 1.331]], "species": ["Li", "Li", "O", "O", "O", "O", "O", "O", "O", "O", "O", "O", "O", "O", "O", "O", "P", "P", "Fe", "Fe", "C", "C"], "frac_coords": [[0.301, 0.532, 0.273], [0.699, 0.468, 0.727], [0.185, 0.938, 0.845], [0.407, 0.217, 0.032], [0.323, 0.552, 0.823], [0.851, 0.319, 0.924], [0.050, 0.292, 0.640], [0.285, 0.284, 0.422], [0.149, 0.681, 0.076], [0.715, 0.716, 0.578], [0.950, 0.708, 0.360], [0.529, 0.764, 0.354], [0.677, 0.448, 0.177], [0.593, 0.783, 0.968], [0.815, 0.062, 0.155], [0.471, 0.236, 0.646], [0.310, 0.742, 0.927], [0.690, 0.258, 0.073], [0.209, 0.245, 0.854], [0.791, 0.755, 0.146], [0.730, 0.728, 0.436], [0.270, 0.272, 0.564]]}


## four
{"formula": "LiFePCO7", "functional": "PBE with a Hubbard U", "state": "optimized geometry", "lattice_angstrom": [[6.439, 0.000, 0.000], [0.000, 5.213, 0.000], [0.000, 0.629, 8.630]], "species": ["O", "O", "O", "O", "O", "O", "O", "O", "O", "O", "O", "O", "O", "O", "Li", "Li", "Fe", "Fe", "P", "P", "C", "C"], "frac_coords": [[0.447, 0.295, 0.323], [0.740, 0.063, 0.536], [0.947, 0.705, 0.677], [0.214, 0.812, 0.074], [0.261, 0.552, 0.882], [0.240, 0.937, 0.464], [0.062, 0.327, 0.329], [0.777, 0.033, 0.171], [0.768, 0.637, 0.420], [0.268, 0.363, 0.580], [0.277, 0.967, 0.829], [0.714, 0.188, 0.926], [0.562, 0.673, 0.671], [0.761, 0.448, 0.118], [0.481, 0.297, 0.784], [0.981, 0.703, 0.216], [0.247, 0.713, 0.648], [0.747, 0.287, 0.352], [0.254, 0.234, 0.424], [0.754, 0.766, 0.576], [0.752, 0.221, 0.065], [0.252, 0.779, 0.935]]}


What should be chosen as the least stable of them? Choose one.


## one
{"formula": "LiFePCO7", "functional": "PBE with a Hubbard U", "state": "optimized geometry", "lattice_angstrom": [[8.233, 0.000, 0.000], [-1.843, 8.028, 0.000], [-2.780, -3.429, 8.345]], "species": ["Li", "Li", "Li", "Li", "O", "O", "O", "O", "O", "O", "O", "O", "O", "O", "O", "O", "O", "O", "O", "O", "O", "O", "O", "O", "O", "O", "O", "O", "O", "O", "O", "O", "P", "P", "P", "P", "Fe", "Fe", "Fe", "Fe", "C", "C", "C", "C"], "frac_coords": [[0.180, 0.938, 0.889], [0.687, 0.435, 0.892], [0.310, 0.552, 0.105], [0.543, 0.008, 0.283], [0.674, 0.427, 0.524], [0.601, 0.847, 0.574], [0.836, 0.278, 0.313], [0.321, 0.582, 0.473], [0.904, 0.658, 0.425], [0.029, 0.089, 0.321], [0.390, 0.137, 0.905], [0.093, 0.347, 0.579], [0.360, 0.606, 0.923], [0.672, 0.235, 0.693], [0.527, 0.772, 0.840], [0.892, 0.642, 0.905], [0.861, 0.110, 0.916], [0.486, 0.217, 0.168], [0.028, 0.277, 0.837], [0.586, 0.860, 0.102], [0.166, 0.729, 0.692], [0.632, 0.388, 0.073], [0.517, 0.580, 0.308], [0.982, 0.921, 0.689], [0.810, 0.077, 0.466], [0.416, 0.143, 0.421], [0.142, 0.887, 0.074], [0.181, 0.923, 0.528], [0.345, 0.781, 0.308], [0.105, 0.355, 0.099], [0.978, 0.731, 0.167], [0.472, 0.410, 0.682], [0.054, 0.803, 0.579], [0.947, 0.201, 0.422], [0.449, 0.699, 0.422], [0.555, 0.303, 0.578], [0.697, 0.448, 0.332], [0.808, 0.058, 0.669], [0.304, 0.555, 0.664], [0.188, 0.946, 0.335], [0.000, 0.250, 0.959], [0.002, 0.752, 0.042], [0.502, 0.245, 0.042], [0.494, 0.749, 0.961]]}


## two
{"formula": "LiFePCO7", "functional": "PBE with a Hubbard U", "state": "optimized geometry", "lattice_angstrom": [[-2.787, -5.742, 0.778], [4.580, -2.033, 1.402], [-0.865, 1.541, 8.269]], "species": ["O", "O", "O", "O", "O", "O", "O", "O", "O", "O", "O", "O", "O", "O", "Fe", "Fe", "C", "C", "P", "P", "Li", "Li"], "frac_coords": [[0.750, 0.117, 0.428], [0.750, 0.557, 0.519], [0.750, 0.539, 0.172], [0.437, 0.801, 0.311], [0.250, 0.057, 0.931], [0.250, 0.461, 0.828], [0.250, 0.443, 0.481], [0.750, 0.943, 0.069], [0.563, 0.199, 0.689], [0.250, 0.385, 0.090], [0.937, 0.199, 0.689], [0.063, 0.801, 0.311], [0.250, 0.883, 0.572], [0.750, 0.615, 0.910], [0.250, 0.199, 0.666], [0.750, 0.801, 0.334], [0.250, 0.298, 0.956], [0.750, 0.702, 0.044], [0.250, 0.735, 0.424], [0.750, 0.265, 0.576], [0.750, 0.228, 0.888], [0.250, 0.772, 0.112]]}


What should be chosen as the least stable of them? Choose one.